No. 1
DFT (PBE) results for an optimized crystal structure of TlPO6.

Cell lengths 8.800, 10.354, 10.565 Å; angles 90.00, 90.00, 90.00 degrees
Positions (direct):
Tl 0.146 0.174 0.125
Tl 0.146 0.326 0.625
Tl 0.354 0.674 0.125
Tl 0.354 0.826 0.625
Tl 0.646 0.174 0.375
Tl 0.646 0.326 0.875
Tl 0.854 0.674 0.375
Tl 0.854 0.826 0.875
P 0.040 0.637 0.659
P 0.040 0.863 0.159
P 0.460 0.137 0.659
P 0.460 0.363 0.159
P 0.540 0.637 0.841
P 0.540 0.863 0.341
P 0.960 0.137 0.841
P 0.960 0.363 0.341
O 0.007 0.505 0.334
O 0.007 0.995 0.834
O 0.045 0.702 0.793
O 0.045 0.798 0.293
O 0.073 0.216 0.925
O 0.073 0.284 0.425
O 0.176 0.524 0.046
O 0.176 0.976 0.546
O 0.205 0.646 0.602
O 0.205 0.854 0.102
O 0.245 0.657 0.323
O 0.245 0.843 0.823
O 0.255 0.157 0.323
O 0.255 0.343 0.823
O 0.295 0.146 0.602
O 0.295 0.354 0.102
O 0.324 0.024 0.046
O 0.324 0.476 0.546
O 0.427 0.716 0.925
O 0.427 0.784 0.425
O 0.455 0.202 0.793
O 0.455 0.298 0.293
O 0.493 0.005 0.334
O 0.493 0.495 0.834
O 0.507 0.505 0.166
O 0.507 0.995 0.666
O 0.545 0.702 0.707
O 0.545 0.798 0.207
O 0.573 0.216 0.575
O 0.573 0.284 0.075
O 0.676 0.524 0.454
O 0.676 0.976 0.954
O 0.705 0.646 0.898
O 0.705 0.854 0.398
O 0.745 0.657 0.177
O 0.745 0.843 0.677
O 0.755 0.157 0.177
O 0.755 0.343 0.677
O 0.795 0.146 0.898
O 0.795 0.354 0.398
O 0.824 0.024 0.454
O 0.824 0.476 0.954
O 0.927 0.716 0.575
O 0.927 0.784 0.075
O 0.955 0.202 0.707
O 0.955 0.298 0.207
O 0.993 0.005 0.166
O 0.993 0.495 0.666

Results
DFT formation energy ... -1.073 eV/atom
M_tot ... 32.0 Bohr magnetons per cell
Final energy ... -335.4 eV/cell
Calculated volume ... 962.6 Å³ per cell

No. 2
DFT (PBE) results for an optimized crystal structure of U2CuP2H16O20.

Cell lengths 7.026, 7.026, 17.687 Å; angles 90.00, 90.00, 90.00 degrees
Positions (direct):
U 0.250 0.250 0.049
U 0.250 0.250 0.552
U 0.750 0.750 0.448
U 0.750 0.750 0.951
Cu 0.250 0.250 0.812
Cu 0.750 0.750 0.188
P 0.250 0.750 0.000
P 0.250 0.750 0.500
P 0.750 0.250 0.000
P 0.750 0.250 0.500
H 0.032 0.213 0.310
H 0.076 0.873 0.236
H 0.080 0.861 0.146
H 0.081 0.632 0.642
H 0.127 0.576 0.764
H 0.132 0.919 0.358
H 0.139 0.580 0.854
H 0.213 0.468 0.310
H 0.287 0.032 0.310
H 0.361 0.920 0.854
H 0.368 0.581 0.358
H 0.373 0.924 0.764
H 0.419 0.868 0.642
H 0.420 0.639 0.146
H 0.424 0.627 0.236
H 0.468 0.287 0.310
H 0.532 0.713 0.690
H 0.576 0.373 0.764
H 0.580 0.361 0.854
H 0.581 0.132 0.358
H 0.627 0.076 0.236
H 0.632 0.419 0.642
H 0.639 0.080 0.146
H 0.713 0.968 0.690
H 0.787 0.532 0.690
H 0.861 0.420 0.146
H 0.868 0.081 0.642
H 0.873 0.424 0.236
H 0.919 0.368 0.358
H 0.920 0.139 0.854
H 0.924 0.127 0.764
H 0.968 0.787 0.690
O 0.010 0.651 0.690
O 0.029 0.799 0.191
O 0.076 0.706 0.948
O 0.077 0.787 0.447
O 0.151 0.990 0.310
O 0.201 0.529 0.809
O 0.206 0.924 0.052
O 0.213 0.577 0.553
O 0.250 0.250 0.152
O 0.250 0.250 0.450
O 0.250 0.250 0.655
O 0.250 0.250 0.946
O 0.287 0.923 0.553
O 0.294 0.576 0.052
O 0.299 0.971 0.809
O 0.349 0.510 0.310
O 0.423 0.713 0.447
O 0.424 0.794 0.948
O 0.471 0.701 0.191
O 0.490 0.849 0.690
O 0.510 0.151 0.310
O 0.529 0.299 0.809
O 0.576 0.206 0.052
O 0.577 0.287 0.553
O 0.651 0.490 0.690
O 0.701 0.029 0.191
O 0.706 0.424 0.948
O 0.713 0.077 0.447
O 0.750 0.750 0.054
O 0.750 0.750 0.345
O 0.750 0.750 0.550
O 0.750 0.750 0.848
O 0.787 0.423 0.447
O 0.794 0.076 0.948
O 0.799 0.471 0.191
O 0.849 0.010 0.690
O 0.923 0.213 0.553
O 0.924 0.294 0.052
O 0.971 0.201 0.809
O 0.990 0.349 0.310

Results
DFT formation energy ... -1.974 eV/atom
M_tot ... 2.0 Bohr magnetons per cell
Final energy ... -515.9 eV/cell
Calculated volume ... 873.2 Å³ per cell